A relaxed structure of Li5V3P8O29. Source: the Materials Project database, functional PBE with a Hubbard U.

* energy above the lowest structure with this stoichiometry: 4 meV per atom
* ΔH_f (0 K): -2.616 eV/atom
* total moment: 4.00 μB per cell

```
90
Lattice="-6.105 6.332 -4.264 8.721 -1.883 -4.081 -5.682 -10.573 -7.352" Properties=species:S:1:pos:R:3 pbc="T T T"
Li -1.608 -7.333 -13.574
Li 0.144 -1.881 -9.187
Li 3.977 -4.858 -7.943
Li 0.876 -10.883 -10.452
Li -3.935 -9.128 -9.195
Li -2.843 -1.429 -10.701
Li -0.132 -4.633 -5.025
Li -6.197 -5.804 -10.820
Li -1.513 1.131 -2.131
Li -2.489 -5.294 -3.868
V -5.462 -2.675 -12.074
V -3.747 2.904 -7.842
V 0.081 -0.111 -6.558
V -3.133 -6.001 -9.098
V -7.698 -4.231 -7.899
V 4.607 -1.817 -7.787
P 2.911 0.925 -7.781
P -1.226 -4.051 -10.895
P 2.868 -7.243 -9.518
P -1.147 -8.325 -10.572
P 1.646 -3.075 -6.873
P 5.258 -2.567 -4.679
P -1.552 0.894 -9.188
P 0.483 -0.799 -3.433
P -3.540 -5.303 -12.260
P -1.509 -6.992 -6.456
P -8.361 -3.526 -10.960
P -4.723 -3.066 -8.824
P -1.909 2.181 -5.133
P -5.943 1.177 -6.168
P -1.853 -2.075 -4.739
P -5.967 -7.023 -7.925
O 1.418 -1.279 -10.543
O 0.144 -4.553 -11.463
O -3.166 -6.409 -13.157
O 1.493 0.960 -7.103
O 3.660 -0.300 -7.207
O -0.451 -7.187 -11.435
O 1.813 -6.408 -10.323
O 1.908 -10.144 -11.954
O 5.521 -1.866 -6.041
O 1.030 -1.657 -7.264
O -1.650 -4.921 -9.726
O 3.202 -3.019 -7.118
O -1.662 -9.410 -11.446
O 1.011 -4.136 -7.713
O -0.026 -8.869 -9.579
O 0.844 -0.376 -4.896
O -2.249 -7.665 -9.687
O 2.239 -7.880 -8.268
O -0.602 2.194 -9.283
O -1.780 0.327 -10.574
O 6.188 -2.088 -3.630
O 3.764 -2.424 -4.298
O 1.392 -3.284 -5.345
O -4.649 -4.375 -12.812
O -0.230 -7.414 -7.194
O -2.390 -6.142 -7.410
O -2.279 -4.279 -12.078
O -1.165 -2.571 -10.605
O -1.771 -3.567 -4.812
O -0.732 -0.138 -8.351
O -2.834 1.290 -8.474
O 1.528 -1.784 -2.931
O -4.535 -2.845 -10.392
O -6.874 -3.817 -11.341
O -3.226 -10.135 -7.773
O -1.284 -6.279 -5.164
O -8.479 -1.992 -10.455
O -5.293 1.744 -7.455
O -0.873 1.374 -6.051
O -4.001 -5.749 -10.834
O -3.026 2.682 -6.074
O -1.209 3.266 -4.372
O -4.175 -1.916 -8.069
O -6.313 -3.235 -8.586
O -1.358 -1.296 -5.979
O -4.152 -4.462 -8.497
O -8.629 -4.330 -9.644
O -6.145 2.487 -5.235
O 3.649 2.195 -7.681
O -4.964 0.250 -5.431
O -2.491 1.112 -4.157
O -6.700 -5.822 -8.587
O -4.640 -7.268 -8.679
O 0.277 0.412 -2.569
O -0.917 -1.580 -3.509
O -3.278 -1.619 -4.326
O 4.082 -6.459 -9.153
O -5.526 -6.595 -6.430
```

A relaxed structure of Li2VPO5. Source: the Materials Project database, functional PBE with a Hubbard U.

* energy above the lowest structure with this stoichiometry: 5 meV per atom
* ΔH_f (0 K): -2.622 eV/atom
* total moment: 8.00 μB per cell

```
36
Lattice="-0.806 -4.269 5.735 0.694 -3.374 -6.469 7.813 -0.127 0.925" Properties=species:S:1:pos:R:3 pbc="T T T"
Li 3.850 -3.886 0.095
Li -0.403 -2.135 2.868
Li 4.239 -1.593 1.208
Li 3.462 -6.178 -1.017
Li 6.964 -4.844 3.241
Li 0.737 -2.927 -3.051
Li 4.545 -2.052 -1.303
Li 3.156 -5.719 1.494
V 6.443 -2.714 -4.216
V 1.258 -5.057 4.407
V 6.000 -4.777 -1.248
V 1.701 -2.994 1.438
P 4.364 -4.047 3.349
P 3.337 -3.724 -3.159
P 6.913 -2.065 0.489
P 0.788 -5.706 -0.299
O 2.713 -2.338 -2.793
O 4.987 -5.434 2.984
O 5.446 -3.125 3.927
O 2.255 -4.646 -3.737
O 4.002 -4.307 -1.873
O 3.699 -3.464 2.064
O 3.271 -4.338 4.407
O 4.430 -3.433 -4.216
O 0.812 -3.945 2.873
O 6.889 -3.826 -2.683
O 6.075 -0.829 0.909
O 1.626 -6.942 -0.718
O 7.581 -2.713 1.716
O 0.120 -5.059 -1.526
O 4.930 -5.677 0.181
O 2.770 -2.094 0.010
O 1.879 -4.759 0.327
O 5.822 -3.012 -0.137
O 0.148 -1.600 -1.530
O 7.553 -6.171 1.721
```

A relaxed structure of Li8V3P8O29. Source: the Materials Project database, functional PBE with a Hubbard U.

* energy above the lowest structure with this stoichiometry: 21 meV per atom
* ΔH_f (0 K): -2.706 eV/atom
* total moment: 10.00 μB per cell

```
96
Lattice="-5.201 -8.028 2.475 4.326 -8.883 0.053 3.520 1.730 13.238" Properties=species:S:1:pos:R:3 pbc="T T T"
Li -2.251 -7.356 2.524
Li -1.101 -5.261 9.119
Li 3.672 -6.864 8.085
Li 1.023 -5.001 5.908
Li 2.839 -4.141 12.513
Li 2.633 -6.619 1.103
Li -0.583 -2.617 1.438
Li 0.187 -13.257 8.090
Li 2.507 -1.872 7.719
Li 3.215 -12.506 14.387
Li 0.081 -8.579 14.649
Li -0.972 -8.369 7.708
Li 3.678 -9.924 6.668
Li 4.854 -7.869 13.294
Li -0.878 -16.886 2.536
Li 0.896 -16.022 9.151
V -1.860 -12.583 5.803
V -0.673 -10.601 12.403
V 4.013 -12.087 11.376
V 2.927 -11.946 4.421
V -0.171 -7.977 4.708
V 2.805 -7.221 11.018
P 0.368 -6.021 12.874
P -1.962 -5.713 6.256
P 3.017 -7.281 5.134
P 0.169 -5.408 2.501
P 1.895 -4.540 9.128
P 5.466 -5.357 11.434
P 0.915 -13.070 10.995
P 2.187 -1.136 11.727
P 0.474 -14.053 4.041
P 1.717 -2.117 4.780
P -2.856 -9.853 4.347
P 0.719 -10.610 6.642
P 2.511 -9.748 13.253
P -0.365 -7.853 10.610
P 4.641 -9.503 9.508
P 2.270 -9.112 2.874
O -1.086 -7.195 9.434
O -1.199 -7.043 6.239
O -3.817 -6.160 2.825
O -0.189 -4.579 12.831
O 1.817 -6.007 12.359
O -0.527 -6.491 3.377
O 1.521 -7.004 5.368
O 2.447 -8.535 1.470
O 4.575 -6.538 11.837
O 0.615 -4.381 10.064
O -1.063 -4.588 5.712
O 2.730 -5.760 9.616
O -0.156 -5.621 1.042
O 1.448 -4.742 7.700
O 1.745 -5.506 2.710
O 1.441 -2.491 11.922
O -0.264 -3.989 2.966
O 3.719 -5.952 4.771
O 6.057 -5.733 9.981
O 5.368 -5.961 7.556
O 1.461 -13.272 14.851
O 4.618 -4.075 11.334
O 2.727 -3.234 9.272
O -0.994 -13.769 4.421
O 2.227 -3.585 4.656
O 0.247 -2.128 5.202
O -3.225 -5.923 5.274
O 1.795 -14.325 7.699
O 0.855 -0.871 8.053
O 2.411 -13.052 10.622
O 0.332 -11.673 11.092
O 3.656 -1.411 11.402
O -0.232 -11.908 6.411
O -2.113 -11.191 4.511
O 1.172 -1.922 0.906
O -2.653 -9.301 8.207
O 1.767 -1.428 3.331
O -1.068 -9.160 10.984
O 3.007 -11.175 12.654
O 1.258 -12.779 3.790
O 0.969 -9.675 13.083
O 2.941 -9.685 14.682
O 1.036 -10.537 8.100
O -0.110 -9.399 6.132
O 3.853 -10.703 10.060
O 1.985 -10.789 5.758
O -1.935 -8.708 3.932
O -0.570 -6.879 11.899
O 0.209 -6.604 14.275
O 1.132 -8.025 10.392
O 3.189 -8.672 12.360
O 0.844 -9.022 3.399
O 2.837 -10.533 2.925
O 6.387 -9.090 12.975
O 1.572 -0.388 10.447
O 3.840 -8.203 9.531
O 3.720 -7.942 6.316
O 3.221 -8.242 3.869
```

A relaxed structure of Li2VP2O8. Source: the Materials Project database, functional PBE with a Hubbard U.

* energy above the lowest structure with this stoichiometry: 12 meV per atom
* ΔH_f (0 K): -2.646 eV/atom
* total moment: 4.00 μB per cell

```
52
Lattice="-7.427 10.154 -1.050 -4.872 -3.346 2.105 0.881 1.406 7.369" Properties=species:S:1:pos:R:3 pbc="T T T"
Li -8.730 7.949 4.306
Li -5.560 8.009 6.335
Li -4.290 6.882 3.537
Li -2.688 0.266 4.117
Li -8.328 6.790 7.340
Li -5.858 0.206 2.088
Li -3.090 1.425 1.083
Li -7.128 1.333 4.886
V -3.665 4.513 5.793
V -7.753 3.702 2.630
V -3.574 -0.615 7.203
V -7.845 8.830 1.220
P -4.590 2.594 3.255
P -6.401 3.508 7.161
P -5.426 -1.266 4.534
P -5.992 9.481 3.889
P -0.629 0.619 6.580
P -10.789 7.596 1.843
P -6.829 5.621 5.168
P -5.017 4.708 1.262
O -4.074 1.199 2.924
O -9.538 8.365 2.349
O -4.487 3.279 1.767
O -7.195 2.183 1.314
O -2.389 3.930 6.677
O -5.368 5.572 4.730
O -11.027 6.346 2.678
O -6.931 4.936 6.656
O -9.735 5.281 6.558
O -7.599 7.333 0.552
O -10.418 7.474 5.412
O -6.355 4.961 1.942
O -3.954 5.733 1.742
O -7.465 2.482 6.681
O -1.880 -0.150 6.074
O -7.345 7.017 5.499
O -4.600 -1.569 3.148
O -4.435 -0.463 5.397
O -6.051 2.643 3.693
O -1.555 -0.525 0.714
O -7.809 4.804 4.306
O -1.683 2.934 1.865
O -6.983 8.678 3.026
O -3.819 0.882 7.871
O -5.063 3.254 6.481
O -9.863 8.740 7.709
O -4.223 6.032 7.109
O -9.029 4.285 1.746
O -1.000 0.741 3.011
O -6.819 9.784 5.275
O -0.391 1.869 5.745
O -3.609 3.411 4.117
```

A relaxed structure of Li7V3P8O29. Source: the Materials Project database, functional PBE with a Hubbard U.

* energy above the lowest structure with this stoichiometry: 9 meV per atom
* ΔH_f (0 K): -2.684 eV/atom
* total moment: 8.00 μB per cell

```
94
Lattice="4.909 8.553 0.000 -4.909 8.553 0.000 0.000 0.058 13.861" Properties=species:S:1:pos:R:3 pbc="T T T"
Li 2.155 7.793 7.787
Li -2.155 7.764 0.857
Li 0.028 5.764 12.239
Li -0.028 5.735 5.309
Li 0.687 2.872 7.794
Li 0.687 14.322 12.998
Li -0.687 2.842 0.863
Li -0.687 14.293 6.067
Li -0.028 11.401 1.622
Li 0.028 11.430 8.552
Li 2.155 9.400 13.004
Li -2.155 9.371 6.074
Li 0.000 0.029 6.931
Li 0.000 0.000 0.000
V -2.750 4.898 10.320
V 2.750 12.267 3.541
V 2.750 4.869 3.390
V -2.750 12.296 10.471
V 0.637 8.597 10.396
V -0.637 8.568 3.465
P 2.264 7.795 4.767
P 2.953 6.673 11.702
P -2.264 7.825 11.697
P 0.037 5.716 8.677
P -0.037 5.687 1.747
P -2.953 6.644 4.772
P 0.684 14.408 2.162
P 0.684 2.728 4.769
P -0.684 14.437 9.093
P -0.684 2.757 11.699
P 2.953 10.521 9.089
P 0.037 11.478 12.114
P -0.037 11.449 5.184
P 2.264 9.340 2.164
P -2.953 10.492 2.159
P -2.264 9.369 9.094
O 2.713 8.645 0.912
O 2.044 7.911 11.710
O 3.773 6.615 7.844
O 2.893 6.381 4.693
O 0.731 7.629 4.611
O 0.766 6.988 9.172
O -0.731 7.658 11.541
O -2.713 8.674 7.842
O -2.044 7.882 4.780
O 1.418 5.667 2.377
O 2.043 5.412 11.542
O -0.766 6.958 2.242
O 0.022 5.629 7.182
O -0.022 5.600 0.251
O -1.418 5.697 9.307
O 1.350 4.123 4.603
O 0.762 4.450 9.273
O -2.893 6.411 11.623
O -3.817 6.777 3.407
O -3.773 6.586 0.913
O 0.997 15.193 5.921
O -2.043 5.383 4.611
O -0.762 4.421 2.343
O 0.828 14.249 9.131
O -1.350 4.152 11.534
O 0.828 2.945 11.661
O 3.817 6.806 10.338
O -0.997 15.222 12.851
O 0.997 1.942 1.010
O -0.828 14.220 2.200
O 1.350 13.012 2.327
O -0.828 2.915 4.731
O 0.762 12.744 11.518
O 2.043 11.782 9.250
O -0.997 1.972 7.940
O 3.773 10.578 12.948
O 3.817 10.388 10.454
O 2.893 10.754 2.238
O -0.762 12.715 4.588
O -1.350 13.041 9.258
O 1.418 11.468 4.554
O -0.022 11.536 6.679
O 0.022 11.565 13.610
O 0.766 10.206 11.620
O -2.043 11.753 2.319
O -1.418 11.497 11.485
O 2.044 9.282 9.081
O 2.824 8.568 3.465
O 2.713 8.491 6.019
O 0.731 9.507 2.320
O -0.766 10.177 4.689
O -0.731 9.536 9.250
O -2.893 10.783 9.169
O -3.773 10.549 6.018
O -3.817 10.358 3.523
O -2.044 9.253 2.151
O -2.713 8.520 12.950
O -2.824 8.597 10.396
```

A relaxed structure of LiV2P5O16. Source: the Materials Project database, functional PBE with a Hubbard U.

* energy above the lowest structure with this stoichiometry: 66 meV per atom
* ΔH_f (0 K): -2.619 eV/atom
* total moment: 8.00 μB per cell

```
48
Lattice="-8.663 0.506 3.906 -0.478 -7.575 -0.079 3.703 -4.140 8.749" Properties=species:S:1:pos:R:3 pbc="T T T"
Li -4.642 -10.276 9.636
Li -1.256 -8.512 2.900
V 0.317 -4.724 4.619
V -0.450 -10.405 8.917
V -4.562 -8.203 5.562
V -4.025 -6.433 11.786
P -6.381 -5.760 6.571
P -2.333 -4.716 2.225
P -6.583 -2.909 6.043
P -1.736 -2.902 6.215
P -5.009 -0.749 2.482
P 1.736 -8.196 8.120
P -1.253 -7.744 10.756
P -4.072 -6.576 8.219
P -2.402 -5.715 6.064
P 1.750 -5.358 7.495
O -2.681 -6.087 1.700
O -6.289 -4.483 5.641
O 1.737 -4.927 6.018
O -1.220 -4.606 3.205
O 0.860 -4.537 8.408
O -2.756 -4.163 5.916
O -3.628 -3.991 2.873
O -6.166 -3.678 2.890
O -2.003 -3.740 0.969
O -1.174 -3.730 10.265
O -7.126 -2.928 7.465
O -0.443 -3.116 5.416
O -1.543 -2.894 7.716
O -7.636 -2.418 5.035
O -5.236 -2.219 5.947
O -2.433 -1.694 5.623
O 0.853 -9.349 7.755
O -6.478 -0.801 2.928
O -1.235 -8.588 9.506
O -4.013 -0.787 3.621
O -4.368 -7.950 7.669
O -5.474 -7.871 11.613
O -6.185 -6.976 5.719
O 1.104 -6.877 7.517
O -3.430 -6.497 5.286
O -4.060 -6.402 9.695
O -0.981 -6.228 10.326
O 1.001 -6.287 3.484
O -2.665 -6.010 7.649
O -0.954 -5.945 5.750
O -5.132 -5.519 7.590
O 3.168 -5.491 8.032
```